# 1
MgTiZnBi2O6, relaxed, DFT GGA-PBE; energy above the lowest structure with this stoichiometry = 0.0816 eV per atom; formation enthalpy at 0 K = -2066 meV per atom
1.0
3.569 3.623 2.452
-4.474 -0.935 3.313
3.182 -5.073 2.865
O Bi Ti Mg Zn
6 2 1 1 1
direct
0.026 0.522 0.000
0.706 0.889 0.500
0.506 0.494 0.204
0.111 0.294 0.500
0.478 0.974 0.000
0.506 0.494 0.796
0.025 0.975 0.281
0.025 0.975 0.719
0.367 0.633 0.000
0.667 0.333 0.000
0.454 0.546 0.500

# 2
Ba2BiSbO6, relaxed, DFT GGA-PBE; formation enthalpy at 0 K = -2444 meV per atom
1.0
0.000 4.336 4.336
4.336 0.000 4.336
4.336 4.336 0.000
O Bi Ba Sb
6 1 2 1
direct
0.767 0.767 0.233
0.233 0.233 0.767
0.767 0.233 0.767
0.767 0.233 0.233
0.233 0.767 0.233
0.233 0.767 0.767
0.500 0.500 0.500
0.250 0.250 0.250
0.750 0.750 0.750
0.000 0.000 0.000